[1]
Density functional theory data (PBE) for a geometry-optimized Li2CaTa2O7 structure.

Unit cell a=5.5681 b=18.4612 c=5.5092 alpha=90.00 beta=90.00 gamma=90.00
Last column: nearest neighbours and their distance in Å.
Space group Pnma (No. 62)
Inequivalent atoms, fractional coordinates:
Li1 0.0050 0.0130 0.2432 x8  5 O 1.99-2.22
Ca1 0.2103 0.2500 0.9998 x4  6 O 2.35-2.58
Ta1 0.2440 0.1379 0.5018 x8  5 O 1.88-2.06
O1 0.0287 0.6649 0.2821 x8  2 Ta 1.99-2.06
O2 0.0378 0.1325 0.2134 x8  2 Ta 1.96-2.02
O3 0.2280 0.7500 0.9218 x4  2 Ta 2.12, 1 Ca 2.35
O4 0.2449 0.0372 0.5460 x8  1 Ta 1.88, 2 Li 1.99-2.04

Offset from the most stable computed form (meV per atom): 0
E_form (eV per formula unit): -38.5

***

[2]
Density functional theory data (PBE) for a geometry-optimized ZnBiSbO5 structure.

Unit cell a=5.4340 b=12.1676 c=8.2999 alpha=90.00 beta=111.91 gamma=90.00
Last column: nearest neighbours and their distance in Å.
Space group P2_1/c (No. 14)
Inequivalent atoms, fractional coordinates:
Zn1 0.0535 0.0806 0.1701 x4  6 O 2.03-2.27
Bi1 0.4429 0.0970 0.8345 x4  5 O 2.19-2.40
Sb1 0.3231 0.6437 0.0347 x4  4 O 1.91-1.93
O1 0.1917 0.7075 0.4876 x4  1 Sb 1.93, 1 Zn 2.14
O2 0.1970 0.5586 0.1813 x4  1 Sb 1.91
O3 0.2569 0.0218 0.0145 x4  2 Zn 2.11-2.19, 2 Bi 2.19-2.28
O4 0.2713 0.5676 0.8228 x4  1 Sb 1.91
O5 0.3133 0.1825 0.3452 x4  1 Sb 1.91, 1 Zn 2.03

Total magnetic moment (μB/f.u.): 0.0
Offset from the most stable computed form (meV per atom): 21
E_form (eV per formula unit): -13.5

***

[3]
Density functional theory data (PBE) for a geometry-optimized KLiAs structure.

Unit cell a=14.5944 b=4.3116 c=12.8680 alpha=90.00 beta=90.00 gamma=90.00
Last column: nearest neighbours and their distance in Å.
Space group Pmma (No. 51)
Inequivalent atoms, fractional coordinates:
K1 0.0216 0.0000 0.1817 x4  1 As 3.14
Li1 0.1356 0.0000 0.4320 x4  2 As 2.43-2.49
As1 0.0348 0.0000 0.5826 x4  1 As 2.36, 2 Li 2.43-2.49

Total magnetic moment (μB/f.u.): 0.3
E_form (eV per formula unit): 0.5

***

[4]
Density functional theory data (PBE) for a geometry-optimized MnGaPt structure.

Unit cell a=4.3513 b=4.3513 c=5.5487 alpha=90.00 beta=90.00 gamma=120.00
Last column: nearest neighbours and their distance in Å.
Space group P6_3/mmc (No. 194)
Inequivalent atoms, fractional coordinates:
Mn1 0.0000 0.0000 0.0000 x2  2 Mn 2.77, 6 Pt 2.87, 6 Ga 2.87
Ga1 0.3333 0.6667 0.2500 x2  5 Pt 2.51-2.77
Pt1 0.3333 0.6667 0.7500 x2  5 Ga 2.51-2.77

E_form (eV per formula unit): -1.4

***

[5]
Density functional theory data (PBE) for a geometry-optimized YAlS3O12 structure.

Unit cell a=8.6901 b=8.6901 c=22.9262 alpha=90.00 beta=90.00 gamma=120.00
Last column: nearest neighbours and their distance in Å.
Space group P321 (No. 150)
Inequivalent atoms, fractional coordinates:
Y1 0.0000 0.0000 0.1047 x2  6 O 2.23-2.27
Y2 0.0000 0.0000 0.3860 x2  6 O 2.21-2.22
Y3 0.3333 0.6667 0.5684 x2  6 O 2.20-2.23
Al1 0.3333 0.6667 0.0667 x2  6 O 1.95-1.97
Al2 0.3333 0.6667 0.2651 x2  6 O 1.88
Al3 0.3333 0.6667 0.7737 x2  6 O 1.91-1.95
S1 0.0000 0.2913 0.5000 x3  4 O 1.46-1.48
S2 0.0000 0.6850 0.0000 x3  4 O 1.48-1.49
S3 0.0325 0.6457 0.6777 x6  4 O 1.47-1.48
S4 0.0459 0.3979 0.1685 x6  4 O 1.47-1.49
O1 0.0173 0.2049 0.4469 x6  1 S 1.48
O2 0.0180 0.8069 0.6730 x6  1 S 1.47
O3 0.0268 0.2205 0.1616 x6  1 S 1.47
O4 0.0450 0.8072 0.9495 x6  1 S 1.49
O5 0.0986 0.6130 0.6223 x6  1 S 1.48
O6 0.1285 0.5078 0.1155 x6  1 S 1.49
O7 0.1319 0.5113 0.8232 x6  1 S 1.48
O8 0.1449 0.6360 0.3129 x6  1 S 1.47
O9 0.1556 0.6655 0.0147 x6  1 S 1.48
O10 0.1579 0.6760 0.7258 x6  1 S 1.48
O11 0.1594 0.4669 0.5042 x6  1 S 1.46
O12 0.1600 0.4786 0.2201 x6  1 S 1.48

Total magnetic moment (μB/f.u.): 0.0
E_form (eV per formula unit): -41.8

***

[6]
Density functional theory data (PBE) for a geometry-optimized Dy6Ti4Al43 structure.

Unit cell a=11.0628 b=11.0628 c=17.8847 alpha=90.00 beta=90.00 gamma=120.00
Last column: nearest neighbours and their distance in Å.
Space group P6_3/mcm (No. 193)
Inequivalent atoms, fractional coordinates:
Dy1 0.0000 0.4705 0.0964 x12  14 Al 3.08-3.41
Ti1 0.0000 0.0000 0.0000 x2  12 Al 2.71-2.85
Ti2 0.0000 0.2716 0.2500 x6  10 Al 2.61-2.72
Al1 0.0000 0.1472 0.7500 x6  2 Ti 2.61, 6 Al 2.82-2.84
Al2 0.0000 0.1565 0.1165 x12  2 Ti 2.71, 9 Al 2.75-3.00
Al3 0.0000 0.2532 0.5289 x12  9 Al 2.76-2.99, 1 Ti 2.85
Al4 0.1506 0.5537 0.2500 x12  1 Ti 2.70, 7 Al 2.75-2.89
Al5 0.1589 0.3938 0.6647 x24  1 Ti 2.72, 7 Al 2.74-3.05
Al6 0.2479 0.4957 0.0000 x12  6 Al 2.76-2.84
Al7 0.3333 0.6667 0.1255 x8  9 Al 2.74-2.84

Total magnetic moment (μB/f.u.): 0.4
E_form (eV per formula unit): -18.0

***

[7]
Density functional theory data (PBE) for a geometry-optimized Rb5Nb3OF18 structure.

Unit cell a=15.8226 b=15.8226 c=7.9737 alpha=90.00 beta=90.00 gamma=90.00
Last column: nearest neighbours and their distance in Å.
Space group I4cm (No. 108)
Inequivalent atoms, fractional coordinates:
Rb1 0.0000 0.5000 0.0000 x4  12 F 2.99-3.26
Rb2 0.0835 0.2232 0.2721 x16  6 F 2.81-3.10
Nb1 0.0000 0.0000 0.0035 x4  1 O 1.81, 4 F 1.97
Nb2 0.1562 0.3438 0.7370 x8  7 F 1.98-2.02
O1 0.0000 0.0000 0.2301 x4  1 Nb 1.81
F1 0.0298 0.3599 0.7555 x16  1 Nb 2.02
F2 0.0448 0.1151 0.9730 x16  1 Nb 1.97
F3 0.1090 0.2322 0.6684 x16  1 Nb 1.99
F4 0.1356 0.3644 0.4937 x8  1 Nb 1.99
F5 0.1457 0.3543 0.9833 x8  1 Nb 1.98
F6 0.2404 0.2596 0.8179 x8  1 Nb 1.99

Total magnetic moment (μB/f.u.): 0.0
E_form (eV per formula unit): -90.9

***

[8]
Density functional theory data (PBE) for a geometry-optimized AgTeO3 structure.

Unit cell a=6.6436 b=7.0620 c=13.5221 alpha=90.00 beta=90.78 gamma=90.00
Last column: nearest neighbours and their distance in Å.
Space group P2_1/c (No. 14)
Inequivalent atoms, fractional coordinates:
Ag1 0.0063 0.1839 0.4313 x4  2 O 2.24-2.25
Ag2 0.0295 0.5531 0.3022 x4  4 O 2.34-2.62
Te1 0.3601 0.1599 0.6401 x4  2 O 1.88-2.06
Te2 0.4964 0.6340 0.5905 x4  6 O 1.92-2.03
O1 0.0773 0.1456 0.6407 x4  1 Te 1.88
O2 0.3122 0.1447 0.8007 x4  1 Te 1.93
O3 0.3118 0.6708 0.1285 x4  1 Te 1.92
O4 0.3271 0.0532 0.1603 x4  2 Te 1.98-2.06
O5 0.3283 0.1896 0.4827 x4  2 Te 1.98-2.15
O6 0.3459 0.5881 0.4630 x4  2 Te 2.01-2.03

E_form (eV per formula unit): -5.7

***

Which of these has the highest E_form?
KLiAs

***

What is the formula in the sixth record?
Dy6Ti4Al43